# TmMn4Cu3O12 PBE with a Hubbard U relaxed
data_TmMn4Cu3O12
_cell_length_a 6.4032
_cell_length_b 6.4032
_cell_length_c 6.4032
_cell_angle_alpha 109.47
_cell_angle_beta 109.47
_cell_angle_gamma 109.47
_space_group_name_H-M_alt 'P 1'
_space_group_IT_number 1
loop_
_space_group_symop_operation_xyz
'x,y,z'
loop_
_atom_site_label
_atom_site_type_symbol
_atom_site_fract_x
_atom_site_fract_y
_atom_site_fract_z
Cu1 Cu 0.5000 0.5000 0.0000
Cu2 Cu 0.0000 0.5000 0.5000
Cu3 Cu 0.5000 0.0000 0.5000
Mn1 Mn 0.0000 0.0000 0.5000
Mn2 Mn 0.5000 0.5000 0.5000
Mn3 Mn 0.5000 0.0000 0.0000
Mn4 Mn 0.0000 0.5000 0.0000
O1 O 0.4697 0.1692 0.3005
O2 O 0.1313 0.8308 0.3005
O3 O 0.6995 0.8687 0.1692
O4 O 0.1692 0.6995 0.8687
O5 O 0.8308 0.6995 0.5303
O6 O 0.1692 0.3005 0.4697
O7 O 0.8687 0.1692 0.6995
O8 O 0.3005 0.4697 0.1692
O9 O 0.5303 0.8308 0.6995
O10 O 0.8308 0.3005 0.1313
O11 O 0.3005 0.1313 0.8308
O12 O 0.6995 0.5303 0.8308
Tm1 Tm 0.0000 0.0000 0.0000
# total moment: 13.7 μB/f.u.
# E_tot: -6.736 eV per atom
# total energy after the MP2020 corrections: -7.482 eV per atom
# space-group type: No. 204
# energy relative to the elements: -177.7 kJ per mole of atoms